[1]
A geometry-optimized CaPH4O6 structure, computed with PBE-GGA.

Density, g/cm³: 2.2
Formation enthalpy at 0 K, meV/atom: -2042.2
MP2020-corrected energy, eV per atom: -6.2653
Total magnetization, μB per atom: 0.083
ΔE to the lowest computed polymorph, meV/atom: 0

Cell: 8.1959 8.1959 5.8214 Å, 99.88 99.88 133.19°
Element x y z (fractional)
Ca1 0.1675 0.8325 0.7500
Ca2 0.8325 0.1675 0.2500
P1 0.3288 0.6712 0.2500
P2 0.6712 0.3288 0.7500
H1 0.1782 0.3501 0.7575
H2 0.2562 0.2651 0.5819
H3 0.2651 0.2562 0.0819
H4 0.3501 0.1782 0.2575
H5 0.6499 0.8218 0.7425
H6 0.7349 0.7438 0.9181
H7 0.7438 0.7349 0.4181
H8 0.8218 0.6499 0.2425
O1 0.1563 0.2934 0.5798
O2 0.1835 0.4091 0.0761
O3 0.1826 0.6461 0.4061
O4 0.2934 0.1563 0.0798
O5 0.3539 0.8174 0.0939
O6 0.4091 0.1835 0.5760
O7 0.5909 0.8165 0.4240
O8 0.6461 0.1826 0.9061
O9 0.7066 0.8437 0.9202
O10 0.8174 0.3539 0.5939
O11 0.8165 0.5909 0.9240
O12 0.8437 0.7066 0.4202



[2]
A geometry-optimized CsCdBO3 structure, computed with PBE-GGA.

Density, g/cm³: 4.5
Formation enthalpy at 0 K, meV/atom: -2209.3
MP2020-corrected energy, eV per atom: -6.0996
Total magnetization, μB per atom: 0.000

Cell: 7.6418 7.6418 7.6418 Å, 90.00 90.00 90.00°
Element x y z (fractional)
Cs1 0.1392 0.3608 0.6392
Cs2 0.3608 0.6392 0.1392
Cs3 0.6392 0.1392 0.3608
Cs4 0.8608 0.8608 0.8608
Cd1 0.1453 0.1453 0.1453
Cd2 0.3547 0.8547 0.6453
Cd3 0.6453 0.3547 0.8547
Cd4 0.8547 0.6453 0.3547
B1 0.0988 0.9012 0.4012
B2 0.4012 0.0988 0.9012
B3 0.5988 0.5988 0.5988
B4 0.9012 0.4012 0.0988
O1 0.0230 0.4112 0.2342
O2 0.0888 0.7658 0.5230
O3 0.2342 0.0230 0.4112
O4 0.2658 0.9770 0.9112
O5 0.4112 0.2342 0.0230
O6 0.4770 0.5888 0.7342
O7 0.5230 0.0888 0.7658
O8 0.5888 0.7342 0.4770
O9 0.7342 0.4770 0.5888
O10 0.7658 0.5230 0.0888
O11 0.9112 0.2658 0.9770
O12 0.9770 0.9112 0.2658



[3]
A geometry-optimized Sm2S2O structure, computed with PBE-GGA.

Density, g/cm³: 6.1
Formation enthalpy at 0 K, meV/atom: -2928.2
MP2020-corrected energy, eV per atom: -7.4598

Cell: 8.4721 7.1001 7.0229 Å, 90.00 98.86 90.00°
Element x y z (fractional)
Sm1 0.0791 0.1385 0.3168
Sm2 0.0791 0.3615 0.8168
Sm3 0.3623 0.5550 0.2492
Sm4 0.3623 0.9450 0.7492
Sm5 0.6377 0.0550 0.2508
Sm6 0.6377 0.4450 0.7508
Sm7 0.9209 0.6385 0.1832
Sm8 0.9209 0.8615 0.6832
S1 0.1777 0.6404 0.5688
S2 0.1777 0.8596 0.0688
S3 0.4231 0.2240 0.4709
S4 0.4231 0.2760 0.9709
S5 0.5769 0.7240 0.0291
S6 0.5769 0.7760 0.5291
S7 0.8223 0.1404 0.9312
S8 0.8223 0.3596 0.4312
O1 0.1174 0.0877 0.6492
O2 0.1174 0.4123 0.1492
O3 0.8826 0.5877 0.8508
O4 0.8826 0.9123 0.3508